(w)
{
  "formula": "MgFe4NiO8",
  "functional": "PBE with a Hubbard U",
  "state": "optimized geometry",
  "lattice": [[5.2089, -3.0174, 0.0000], [5.2089, 3.0174, 0.0000], [3.4610, 0.0000, 4.9253]],
  "species": ["Mg", "Fe", "Fe", "Fe", "Fe", "Ni", "O", "O", "O", "O", "O", "O", "O", "O"],
  "frac_coords": [[0.8763, 0.8763, 0.8763], [0.9922, 0.5019, 0.5019], [0.5019, 0.5019, 0.9922], [0.5019, 0.9922, 0.5019], [0.1233, 0.1233, 0.1233], [0.5013, 0.5013, 0.5013], [0.2572, 0.2572, 0.2572], [0.7308, 0.2536, 0.2536], [0.2536, 0.2536, 0.7308], [0.2536, 0.7308, 0.2536], [0.7408, 0.7408, 0.7408], [0.2783, 0.7446, 0.7446], [0.7446, 0.7446, 0.2783], [0.7446, 0.2783, 0.7446]]
}

(x)
{
  "formula": "MgFe4NiO8",
  "functional": "PBE with a Hubbard U",
  "state": "optimized geometry",
  "lattice": [[3.0194, 5.1807, 0.0000], [-3.0194, 5.1807, 0.0000], [0.0000, 3.3962, 4.9178]],
  "species": ["Mg", "Fe", "Fe", "Fe", "Fe", "Ni", "O", "O", "O", "O", "O", "O", "O", "O"],
  "frac_coords": [[0.5000, 0.5000, 0.0000], [0.8825, 0.8825, 0.8681], [0.1175, 0.1175, 0.1319], [0.0000, 0.5000, 0.5000], [0.5000, 0.0000, 0.5000], [0.5000, 0.5000, 0.5000], [0.7466, 0.7466, 0.7399], [0.7491, 0.7491, 0.2682], [0.2711, 0.7502, 0.7400], [0.7502, 0.2711, 0.7400], [0.2534, 0.2534, 0.2601], [0.2509, 0.2509, 0.7318], [0.7289, 0.2498, 0.2600], [0.2498, 0.7289, 0.2600]]
}

The winner here is (w), beating the second structure by 9 meV per atom.

(w)
{
  "formula": "Mg14FeNiO16",
  "functional": "PBE with a Hubbard U",
  "state": "optimized geometry",
  "lattice": [[-7.5408, 3.7890, -1.2933], [-3.9462, -6.6374, 3.5631], [0.2893, 1.8813, 3.8249]],
  "species": ["Mg", "Mg", "Mg", "Mg", "Mg", "Mg", "Mg", "Mg", "Mg", "Mg", "Mg", "Mg", "Mg", "Mg", "Fe", "Ni", "O", "O", "O", "O", "O", "O", "O", "O", "O", "O", "O", "O", "O", "O", "O", "O"],
  "frac_coords": [[0.5000, 0.0000, 0.0000], [0.5000, 0.5000, 0.0000], [0.0000, 0.2513, 0.5000], [0.0000, 0.7487, 0.5000], [0.5000, 0.2498, 0.5000], [0.5000, 0.7502, 0.5000], [0.2494, 0.0000, 0.5000], [0.2491, 0.5000, 0.5000], [0.7506, 0.0000, 0.5000], [0.7509, 0.5000, 0.5000], [0.2507, 0.2505, 0.0000], [0.2507, 0.7495, 0.0000], [0.7493, 0.2505, 0.0000], [0.7493, 0.7495, 0.0000], [0.0000, 0.0000, 0.0000], [0.0000, 0.5000, 0.0000], [0.2563, 0.0000, 0.0000], [0.2503, 0.5000, 0.0000], [0.7437, 0.0000, 0.0000], [0.7497, 0.5000, 0.0000], [0.2489, 0.2505, 0.5000], [0.2489, 0.7495, 0.5000], [0.7511, 0.2505, 0.5000], [0.7511, 0.7495, 0.5000], [0.0000, 0.0000, 0.5000], [0.0000, 0.5000, 0.5000], [0.5000, 0.0000, 0.5000], [0.5000, 0.5000, 0.5000], [0.0000, 0.2514, 0.0000], [0.0000, 0.7486, 0.0000], [0.5000, 0.2512, 0.0000], [0.5000, 0.7488, 0.0000]]
}

(x)
{
  "formula": "Mg14FeNiO16",
  "functional": "PBE with a Hubbard U",
  "state": "optimized geometry",
  "lattice": [[8.5282, 0.0000, 0.0000], [0.0000, 8.5282, 0.0000], [0.0000, 0.0000, 4.2621]],
  "species": ["Mg", "Mg", "Mg", "Mg", "Mg", "Mg", "Mg", "Mg", "Mg", "Mg", "Mg", "Mg", "Mg", "Mg", "Fe", "Ni", "O", "O", "O", "O", "O", "O", "O", "O", "O", "O", "O", "O", "O", "O", "O", "O"],
  "frac_coords": [[0.0000, 0.5000, 0.0000], [0.5000, 0.0000, 0.0000], [0.0000, 0.2501, 0.5000], [0.0000, 0.7499, 0.5000], [0.5000, 0.2508, 0.5000], [0.5000, 0.7492, 0.5000], [0.2501, 0.0000, 0.5000], [0.2508, 0.5000, 0.5000], [0.7499, 0.0000, 0.5000], [0.7492, 0.5000, 0.5000], [0.2510, 0.2510, 0.0000], [0.2510, 0.7490, 0.0000], [0.7490, 0.2510, 0.0000], [0.7490, 0.7490, 0.0000], [0.0000, 0.0000, 0.0000], [0.5000, 0.5000, 0.0000], [0.2543, 0.0000, 0.0000], [0.2495, 0.5000, 0.0000], [0.7457, 0.0000, 0.0000], [0.7505, 0.5000, 0.0000], [0.2499, 0.2499, 0.5000], [0.2499, 0.7501, 0.5000], [0.7501, 0.2499, 0.5000], [0.7501, 0.7501, 0.5000], [0.0000, 0.0000, 0.5000], [0.0000, 0.5000, 0.5000], [0.5000, 0.0000, 0.5000], [0.5000, 0.5000, 0.5000], [0.0000, 0.2543, 0.0000], [0.0000, 0.7457, 0.0000], [0.5000, 0.2495, 0.0000], [0.5000, 0.7505, 0.0000]]
}

The winner here is (w), beating the second structure by 27 meV per atom.

(w)
{
  "formula": "MgFe4Ni2O8",
  "functional": "PBE with a Hubbard U",
  "state": "optimized geometry",
  "lattice": [[5.3093, 0.1342, 3.1077], [1.8452, 5.2191, 3.1960], [0.0367, 0.1341, 6.1518]],
  "species": ["Mg", "Fe", "Fe", "Fe", "Fe", "Ni", "Ni", "O", "O", "O", "O", "O", "O", "O", "O"],
  "frac_coords": [[0.2036, 0.7964, 0.2036], [0.8925, 0.1075, 0.8925], [0.2924, 0.2076, 0.2924], [0.6277, 0.0869, 0.6277], [0.6277, 0.6577, 0.6277], [0.1600, 0.5681, 0.7037], [0.7037, 0.5681, 0.1600], [0.3829, 0.4074, 0.3830], [0.4277, 0.3358, 0.9007], [0.3829, 0.8267, 0.3830], [0.9007, 0.3358, 0.4277], [0.3393, 0.9227, 0.8154], [0.8614, 0.4395, 0.8614], [0.8154, 0.9227, 0.3393], [0.8614, 0.8378, 0.8614]]
}

(x)
{
  "formula": "MgFe4Ni2O8",
  "functional": "PBE with a Hubbard U",
  "state": "optimized geometry",
  "lattice": [[5.1368, 0.0002, 2.9712], [1.7111, 5.3243, 2.9687], [0.0025, 0.0016, 5.9380]],
  "species": ["Mg", "Fe", "Fe", "Fe", "Fe", "Ni", "Ni", "O", "O", "O", "O", "O", "O", "O", "O"],
  "frac_coords": [[0.1250, 0.6250, 0.1250], [0.9706, 0.0977, 0.9644], [0.2794, 0.1523, 0.2856], [0.6250, 0.1250, 0.6250], [0.6250, 0.6250, 0.6250], [0.1250, 0.6250, 0.6250], [0.6250, 0.6250, 0.1250], [0.3849, 0.3687, 0.3849], [0.3817, 0.3816, 0.8698], [0.4035, 0.7981, 0.4023], [0.8709, 0.3815, 0.3811], [0.3791, 0.8685, 0.8689], [0.8465, 0.4519, 0.8477], [0.8683, 0.8684, 0.3802], [0.8651, 0.8813, 0.8651]]
}

The winner here is (x), beating the second structure by 31 meV per atom.

(w)
{
  "formula": "MgFe4Ni2O8",
  "functional": "PBE with a Hubbard U",
  "state": "optimized geometry",
  "lattice": [[2.1055, -0.7086, 5.3711], [4.6505, -3.4240, 0.9064], [5.4396, 2.7372, 1.2813]],
  "species": ["Mg", "Fe", "Fe", "Fe", "Fe", "Ni", "Ni", "O", "O", "O", "O", "O", "O", "O", "O"],
  "frac_coords": [[0.1250, 0.1250, 0.6250], [0.9666, 0.9739, 0.0856], [0.2834, 0.2761, 0.1644], [0.6250, 0.1250, 0.6250], [0.6250, 0.6250, 0.6250], [0.1250, 0.6250, 0.6250], [0.6250, 0.6250, 0.1250], [0.3809, 0.3653, 0.3900], [0.4172, 0.3900, 0.8029], [0.3809, 0.8637, 0.3900], [0.8616, 0.3705, 0.3974], [0.3884, 0.8795, 0.8526], [0.8691, 0.3863, 0.8600], [0.8328, 0.8600, 0.4471], [0.8691, 0.8847, 0.8600]]
}

(x)
{
  "formula": "MgFe4Ni2O8",
  "functional": "PBE with a Hubbard U",
  "state": "optimized geometry",
  "lattice": [[5.4213, -0.2539, 3.1488], [1.6929, 4.7881, 2.9321], [0.0193, -0.2521, 6.2647]],
  "species": ["Mg", "Fe", "Fe", "Fe", "Fe", "Ni", "Ni", "O", "O", "O", "O", "O", "O", "O", "O"],
  "frac_coords": [[0.7824, 0.2170, 0.7835], [0.0710, 0.9292, 0.0706], [0.2051, 0.2944, 0.2061], [0.5591, 0.1591, 0.5582], [0.5591, 0.7236, 0.5582], [0.1199, 0.6213, 0.6376], [0.6376, 0.6219, 0.1187], [0.3525, 0.4115, 0.3529], [0.4106, 0.3848, 0.8198], [0.3525, 0.8831, 0.3529], [0.8192, 0.3850, 0.4108], [0.4360, 0.8495, 0.8651], [0.9250, 0.3223, 0.9252], [0.8658, 0.8492, 0.4358], [0.9250, 0.8275, 0.9252]]
}

The winner here is (x), beating the second structure by 384 meV per atom.